A | {"formula": "K6Nb11O30", "functional": "PBE", "state": "relaxed", "lattice": [[3.9625, 0.0000, 0.0000], [0.0000, 9.1802, 9.2462], [0.0000, -9.1802, 9.2462]], "species": ["K", "K", "K", "K", "K", "K", "Nb", "Nb", "Nb", "Nb", "Nb", "Nb", "Nb", "Nb", "Nb", "Nb", "Nb", "O", "O", "O", "O", "O", "O", "O", "O", "O", "O", "O", "O", "O", "O", "O", "O", "O", "O", "O", "O", "O", "O", "O", "O", "O", "O", "O", "O", "O", "O"], "fractional_positions": [[0.0000, 0.0000, 0.0000], [0.0000, 0.1611, 0.6721], [0.0000, 0.3346, 0.3346], [0.0000, 0.4968, 0.8517], [0.0000, 0.6721, 0.1611], [0.0000, 0.8517, 0.4968], [0.0000, 0.5502, 0.5502], [0.5000, 0.0820, 0.4589], [0.5000, 0.1804, 0.1804], [0.5000, 0.2392, 0.8928], [0.5000, 0.3628, 0.5994], [0.5000, 0.4589, 0.0820], [0.5000, 0.5994, 0.3628], [0.5000, 0.6859, 0.6859], [0.5000, 0.7522, 0.9665], [0.5000, 0.8928, 0.2392], [0.5000, 0.9665, 0.7522], [0.0000, 0.0960, 0.4629], [0.0000, 0.1684, 0.1684], [0.0000, 0.2488, 0.8723], [0.0000, 0.4010, 0.5901], [0.0000, 0.4629, 0.0960], [0.0000, 0.5901, 0.4010], [0.0000, 0.6593, 0.6593], [0.0000, 0.7442, 0.9606], [0.0000, 0.8723, 0.2488], [0.0000, 0.9606, 0.7442], [0.5000, 0.0145, 0.1674], [0.5000, 0.0286, 0.5998], [0.5000, 0.1011, 0.8109], [0.5000, 0.1674, 0.0145], [0.5000, 0.1710, 0.3264], [0.5000, 0.2416, 0.5282], [0.5000, 0.3134, 0.7325], [0.5000, 0.3264, 0.1710], [0.5000, 0.3841, 0.9541], [0.5000, 0.4648, 0.4648], [0.5000, 0.5208, 0.6546], [0.5000, 0.5282, 0.2416], [0.5000, 0.5998, 0.0286], [0.5000, 0.6546, 0.5208], [0.5000, 0.6643, 0.8253], [0.5000, 0.7325, 0.3134], [0.5000, 0.8109, 0.1011], [0.5000, 0.8253, 0.6643], [0.5000, 0.8814, 0.8814], [0.5000, 0.9541, 0.3841]]}

B | {"formula": "K6Nb11O30", "functional": "PBE", "state": "relaxed", "lattice": [[8.0497, 0.0000, 0.0000], [0.0000, 12.8843, 0.0000], [0.0000, 0.0000, 12.8500]], "species": ["K", "K", "K", "K", "K", "K", "K", "K", "K", "K", "K", "K", "Nb", "Nb", "Nb", "Nb", "Nb", "Nb", "Nb", "Nb", "Nb", "Nb", "Nb", "Nb", "Nb", "Nb", "Nb", "Nb", "Nb", "Nb", "Nb", "Nb", "Nb", "Nb", "O", "O", "O", "O", "O", "O", "O", "O", "O", "O", "O", "O", "O", "O", "O", "O", "O", "O", "O", "O", "O", "O", "O", "O", "O", "O", "O", "O", "O", "O", "O", "O", "O", "O", "O", "O", "O", "O", "O", "O", "O", "O", "O", "O", "O", "O", "O", "O", "O", "O", "O", "O", "O", "O", "O", "O", "O", "O", "O", "O"], "fractional_positions": [[0.0000, 0.0712, 0.0000], [0.0000, 0.2463, 0.6684], [0.0000, 0.4188, 0.3483], [0.0000, 0.5838, 0.8472], [0.0000, 0.7556, 0.1722], [0.0000, 0.9265, 0.5029], [0.5000, 0.0735, 0.0029], [0.5000, 0.2444, 0.6722], [0.5000, 0.4162, 0.3472], [0.5000, 0.5812, 0.8483], [0.5000, 0.7537, 0.1684], [0.5000, 0.9288, 0.5000], [0.0000, 0.6312, 0.5555], [0.2402, 0.2427, 0.1826], [0.2412, 0.5457, 0.0946], [0.2419, 0.3243, 0.8777], [0.2499, 0.0409, 0.7497], [0.2499, 0.1663, 0.4644], [0.2501, 0.8337, 0.9644], [0.2501, 0.9591, 0.2497], [0.2581, 0.6757, 0.3777], [0.2588, 0.4543, 0.5946], [0.2598, 0.7573, 0.6826], [0.5000, 0.3688, 0.0555], [0.7402, 0.7573, 0.6826], [0.7412, 0.4543, 0.5946], [0.7419, 0.6757, 0.3777], [0.7501, 0.0409, 0.7497], [0.7501, 0.1663, 0.4644], [0.7499, 0.8337, 0.9644], [0.7499, 0.9591, 0.2497], [0.7581, 0.3243, 0.8777], [0.7588, 0.5457, 0.0946], [0.7598, 0.2427, 0.1826], [0.0000, 0.0448, 0.7505], [0.0000, 0.1735, 0.4649], [0.0000, 0.2597, 0.1639], [0.0000, 0.3259, 0.8875], [0.0000, 0.4704, 0.5875], [0.0000, 0.5331, 0.0985], [0.0000, 0.6607, 0.3928], [0.0000, 0.7474, 0.6684], [0.0000, 0.8245, 0.9666], [0.0000, 0.9568, 0.2498], [0.2012, 0.5987, 0.6627], [0.2037, 0.7386, 0.5202], [0.2340, 0.5404, 0.4648], [0.2477, 0.3214, 0.5330], [0.2476, 0.6048, 0.2433], [0.2493, 0.2560, 0.3284], [0.2485, 0.9630, 0.8862], [0.2495, 0.0949, 0.1685], [0.2498, 0.1097, 0.6045], [0.2503, 0.1836, 0.8171], [0.2497, 0.8164, 0.3171], [0.2502, 0.8903, 0.1045], [0.2505, 0.9051, 0.6685], [0.2515, 0.0370, 0.3862], [0.2507, 0.7440, 0.8284], [0.2524, 0.3952, 0.7433], [0.2523, 0.6786, 0.0330], [0.2660, 0.4596, 0.9648], [0.2963, 0.2614, 0.0202], [0.2988, 0.4013, 0.1627], [0.5000, 0.0432, 0.7498], [0.5000, 0.1755, 0.4666], [0.5000, 0.2526, 0.1684], [0.5000, 0.3393, 0.8928], [0.5000, 0.4669, 0.5985], [0.5000, 0.5296, 0.0875], [0.5000, 0.6741, 0.3875], [0.5000, 0.7403, 0.6639], [0.5000, 0.8265, 0.9649], [0.5000, 0.9552, 0.2505], [0.7012, 0.4013, 0.1627], [0.7037, 0.2614, 0.0202], [0.7340, 0.4596, 0.9648], [0.7476, 0.3952, 0.7433], [0.7477, 0.6786, 0.0330], [0.7485, 0.0370, 0.3862], [0.7493, 0.7440, 0.8284], [0.7505, 0.0949, 0.1685], [0.7502, 0.1097, 0.6045], [0.7497, 0.1836, 0.8171], [0.7503, 0.8164, 0.3171], [0.7498, 0.8903, 0.1045], [0.7495, 0.9051, 0.6685], [0.7507, 0.2560, 0.3284], [0.7515, 0.9630, 0.8862], [0.7523, 0.3214, 0.5330], [0.7524, 0.6048, 0.2433], [0.7660, 0.5404, 0.4648], [0.7963, 0.7386, 0.5202], [0.7988, 0.5987, 0.6627]]}

How far above the most stable structure does each one sit? In meV per atom: A 40; B 0.

A | {"formula": "KNb5Pb2O15", "functional": "PBE", "state": "relaxed", "lattice": [[3.9825, 0.0000, 0.0000], [0.0000, 12.9389, 0.0000], [0.0000, 0.0000, 12.8889]], "species": ["K", "K", "Nb", "Nb", "Nb", "Nb", "Nb", "Nb", "Nb", "Nb", "Nb", "Nb", "Pb", "Pb", "Pb", "Pb", "O", "O", "O", "O", "O", "O", "O", "O", "O", "O", "O", "O", "O", "O", "O", "O", "O", "O", "O", "O", "O", "O", "O", "O", "O", "O", "O", "O", "O", "O"], "fractional_positions": [[0.0000, 0.0764, 0.0000], [0.0000, 0.9236, 0.5000], [0.5000, 0.0394, 0.2410], [0.5000, 0.1750, 0.5283], [0.5000, 0.2411, 0.8284], [0.5000, 0.3353, 0.1088], [0.5000, 0.4649, 0.3945], [0.5000, 0.5351, 0.8945], [0.5000, 0.6647, 0.6088], [0.5000, 0.7589, 0.3284], [0.5000, 0.8250, 0.0283], [0.5000, 0.9606, 0.7410], [0.0000, 0.2537, 0.3162], [0.0000, 0.3693, 0.6468], [0.0000, 0.6307, 0.1468], [0.0000, 0.7463, 0.8162], [0.0000, 0.0459, 0.2557], [0.0000, 0.1817, 0.5430], [0.0000, 0.2584, 0.8152], [0.0000, 0.3242, 0.1284], [0.0000, 0.4494, 0.4084], [0.0000, 0.5506, 0.9084], [0.0000, 0.6758, 0.6284], [0.0000, 0.7416, 0.3152], [0.0000, 0.8183, 0.0430], [0.0000, 0.9541, 0.7557], [0.5000, 0.0373, 0.6145], [0.5000, 0.0964, 0.8306], [0.5000, 0.1077, 0.3985], [0.5000, 0.1800, 0.1888], [0.5000, 0.2534, 0.9821], [0.5000, 0.2640, 0.6716], [0.5000, 0.3142, 0.4691], [0.5000, 0.3814, 0.2643], [0.5000, 0.4094, 0.8239], [0.5000, 0.4664, 0.0442], [0.5000, 0.5336, 0.5442], [0.5000, 0.5906, 0.3239], [0.5000, 0.6186, 0.7643], [0.5000, 0.6858, 0.9691], [0.5000, 0.7360, 0.1716], [0.5000, 0.7466, 0.4821], [0.5000, 0.8200, 0.6888], [0.5000, 0.8923, 0.8985], [0.5000, 0.9036, 0.3306], [0.5000, 0.9627, 0.1145]]}

B | {"formula": "KNb5Pb2O15", "functional": "PBE", "state": "relaxed", "lattice": [[3.9676, 0.0000, 0.0000], [0.0000, 9.0159, 9.4102], [0.0000, -9.0159, 9.4102]], "species": ["K", "K", "Nb", "Nb", "Nb", "Nb", "Nb", "Nb", "Nb", "Nb", "Nb", "Nb", "Pb", "Pb", "Pb", "Pb", "O", "O", "O", "O", "O", "O", "O", "O", "O", "O", "O", "O", "O", "O", "O", "O", "O", "O", "O", "O", "O", "O", "O", "O", "O", "O", "O", "O", "O", "O"], "fractional_positions": [[0.0000, 0.0000, 0.0000], [0.0000, 0.3460, 0.3460], [0.5000, 0.1093, 0.4606], [0.5000, 0.1669, 0.1669], [0.5000, 0.2593, 0.8899], [0.5000, 0.3937, 0.5996], [0.5000, 0.4606, 0.1093], [0.5000, 0.5996, 0.3937], [0.5000, 0.6763, 0.6763], [0.5000, 0.7498, 0.9643], [0.5000, 0.8899, 0.2593], [0.5000, 0.9643, 0.7498], [0.0000, 0.1903, 0.6836], [0.0000, 0.5444, 0.8935], [0.0000, 0.6836, 0.1903], [0.0000, 0.8935, 0.5444], [0.0000, 0.0829, 0.4666], [0.0000, 0.1637, 0.1637], [0.0000, 0.2444, 0.8652], [0.0000, 0.3661, 0.5925], [0.0000, 0.4666, 0.0829], [0.0000, 0.5925, 0.3661], [0.0000, 0.6677, 0.6677], [0.0000, 0.7322, 0.9545], [0.0000, 0.8652, 0.2444], [0.0000, 0.9545, 0.7322], [0.5000, 0.0094, 0.1684], [0.5000, 0.0150, 0.5949], [0.5000, 0.0933, 0.8059], [0.5000, 0.1656, 0.3205], [0.5000, 0.1684, 0.0094], [0.5000, 0.2339, 0.5233], [0.5000, 0.2955, 0.7290], [0.5000, 0.3205, 0.1656], [0.5000, 0.3868, 0.9465], [0.5000, 0.4581, 0.4581], [0.5000, 0.5117, 0.6704], [0.5000, 0.5233, 0.2339], [0.5000, 0.5949, 0.0150], [0.5000, 0.6598, 0.8227], [0.5000, 0.6704, 0.5117], [0.5000, 0.7290, 0.2955], [0.5000, 0.8059, 0.0933], [0.5000, 0.8227, 0.6598], [0.5000, 0.8801, 0.8801], [0.5000, 0.9465, 0.3868]]}

How far above the most stable structure does each one sit? In meV per atom: A 11; B 0.